Record 1
The following is a PBE-GGA calculation of an optimized crystal structure of Na2Si3Sn2Ge2S3O24, from the Materials Project database.

Magnetic moment: 0.00 μB per cell
Energy: -6.411 eV per atom
SG: P1, No. 1

a b c (Å): 8.6848 8.6406 22.5580
angles (deg): 90.36 90.51 119.84
Positions (direct):
Na  0.9798  0.9771  0.4941
Na  0.0018  0.9892  0.9985
Na  0.6550  0.3218  0.8333
Na  0.6774  0.3249  0.3344
Na  0.3161  0.6629  0.1710
Na  0.3510  0.6634  0.6676
Si  0.2975  0.0127  0.2488
Si  0.0064  0.2829  0.2505
Si  0.2885  0.2998  0.7538
Si  0.7174  0.0019  0.7552
Si  0.6643  0.6260  0.5843
Si  0.9390  0.6065  0.0830
Si  0.3301  0.9558  0.9161
Si  0.6399  0.9610  0.4139
Si  0.0443  0.6785  0.4149
Sn  0.9907  0.0010  0.6495
Sn  0.0039  0.9931  0.1481
Sn  0.6569  0.3324  0.6907
Sn  0.6785  0.3444  0.4761
Sn  0.3502  0.6818  0.5141
Sn  0.3219  0.6764  0.3120
Ge  0.0087  0.0070  0.3527
Ge  0.0229  0.0182  0.8494
Ge  0.6898  0.3368  0.1959
Ge  0.6536  0.3290  0.9819
Ge  0.3048  0.6718  0.0201
Ge  0.3579  0.6864  0.8121
S  0.7101  0.7068  0.2496
S  0.0085  0.7145  0.7539
S  0.9622  0.3376  0.5843
S  0.3720  0.0407  0.5838
S  0.6589  0.0404  0.0807
S  0.3790  0.3417  0.0798
S  0.6188  0.6660  0.9190
S  0.0432  0.3790  0.9175
S  0.3281  0.3716  0.4149
O  0.2035  0.0413  0.3066
O  0.8229  0.7863  0.3024
O  0.9657  0.1550  0.3070
O  0.2093  0.1707  0.8111
O  0.9732  0.7959  0.8067
O  0.8404  0.0262  0.8149
O  0.7800  0.9519  0.6944
O  0.1746  0.2170  0.6928
O  0.0405  0.8172  0.6987
O  0.7774  0.8103  0.1939
O  0.0244  0.2059  0.1858
O  0.1810  0.9577  0.1871
O  0.8797  0.3581  0.6392
O  0.4817  0.1149  0.6390
O  0.6372  0.5120  0.6446
O  0.8471  0.4842  0.1413
O  0.6269  0.1149  0.1348
O  0.4841  0.3679  0.1332
O  0.4538  0.3017  0.0248
O  0.8217  0.5156  0.0214
O  0.6869  0.1498  0.0264
O  0.4539  0.1447  0.5306
O  0.6921  0.5346  0.5259
O  0.8498  0.3007  0.5308
O  0.5349  0.6937  0.9722
O  0.1573  0.4562  0.9731
O  0.2923  0.8345  0.9759
O  0.5713  0.8483  0.4756
O  0.2986  0.4456  0.4710
O  0.1564  0.7069  0.4773
O  0.1147  0.6172  0.3585
O  0.5150  0.8720  0.3565
O  0.3620  0.4834  0.3627
O  0.1234  0.4883  0.8651
O  0.3667  0.8605  0.8596
O  0.5087  0.6290  0.8637
O  0.0370  0.8606  0.4051
O  0.8369  0.9879  0.4056
O  0.1662  0.1958  0.4101
O  0.0253  0.1974  0.9137
O  0.1489  0.9739  0.9071
O  0.7975  0.8235  0.9132
O  0.9848  0.1780  0.5871
O  0.1978  0.0308  0.5897
O  0.8483  0.8209  0.5876
O  0.9620  0.8069  0.0850
O  0.8195  0.0215  0.0842
O  0.1974  0.1832  0.0814
O  0.7043  0.1834  0.7486
O  0.4858  0.3227  0.7510
O  0.8498  0.5358  0.7490
O  0.6987  0.5288  0.2425
O  0.8289  0.3080  0.2462
O  0.4911  0.1988  0.2366
O  0.6350  0.4993  0.9237
O  0.8631  0.3595  0.9243
O  0.5111  0.1569  0.9276
O  0.6395  0.1496  0.4224
O  0.4837  0.3469  0.4207
O  0.8437  0.5076  0.4183
O  0.3696  0.5104  0.0710
O  0.1412  0.6281  0.0758
O  0.4975  0.8556  0.0732
O  0.3474  0.8585  0.5811
O  0.4833  0.6409  0.5801
O  0.1361  0.5001  0.5795
O  0.3331  0.8451  0.2509
O  0.5304  0.6789  0.2551
O  0.1851  0.4771  0.2537
O  0.2968  0.4919  0.7660
O  0.1677  0.6957  0.7615
O  0.5171  0.8292  0.7609

Record 2
The following is a PBE-GGA calculation of an optimized crystal structure of Rb3FeS3, from the Materials Project database.

Energy: -4.296 eV per atom
SG: P2_1/c, No. 14

a b c (Å): 13.2115 8.0450 10.5422
angles (deg): 52.63 90.00 90.00
Positions (direct):
Rb  0.9242  0.6459  0.6085
Rb  0.4242  0.3541  0.8915
Rb  0.0758  0.3541  0.3915
Rb  0.5758  0.6459  0.1085
Rb  0.6334  0.6139  0.5188
Rb  0.1334  0.3861  0.9812
Rb  0.3666  0.3861  0.4812
Rb  0.8666  0.6139  0.0188
Rb  0.8084  0.1330  0.5785
Rb  0.3084  0.8670  0.9215
Rb  0.1916  0.8670  0.4215
Rb  0.6916  0.1330  0.0785
Fe  0.5566  0.9370  0.6560
Fe  0.0566  0.0630  0.8440
Fe  0.4434  0.0630  0.3440
Fe  0.9434  0.9370  0.1560
S  0.1057  0.8592  0.1153
S  0.6057  0.1408  0.3847
S  0.8943  0.1408  0.8847
S  0.3943  0.8592  0.6153
S  0.0475  0.8817  0.7453
S  0.5475  0.1183  0.7547
S  0.9525  0.1183  0.2547
S  0.4525  0.8817  0.2453
S  0.6616  0.6581  0.8035
S  0.1616  0.3419  0.6965
S  0.3384  0.3419  0.1965
S  0.8384  0.6581  0.3035

Record 3
The following is a PBE-GGA calculation of an optimized crystal structure of BePd2, from the Materials Project database.

Energy: -5.206 eV per atom
SG: I4/mmm, No. 139

a b c (Å): 5.3379 5.3379 5.3379
angles (deg): 149.88 149.88 43.11
Positions (direct):
Be  0.0000  0.0000  0.0000
Pd  0.3567  0.3567  0.0000
Pd  0.6433  0.6433  0.0000

Record 4
The following is a PBE-GGA calculation of an optimized crystal structure of SbH6CN3F4, from the Materials Project database.

Magnetic moment: 0.00 μB per cell
Energy: -5.488 eV per atom
SG: P2_12_12_1, No. 19
Maximum piezoelectric response: 0.3 C/m2

a b c (Å): 5.1642 10.6333 12.5092
angles (deg): 90.00 90.00 90.00
Positions (direct):
Sb  0.3995  0.1201  0.0711
Sb  0.1005  0.8799  0.5711
Sb  0.8995  0.3799  0.9289
Sb  0.6005  0.6201  0.4289
H  0.6246  0.6039  0.0574
H  0.8754  0.3961  0.5574
H  0.1246  0.8961  0.9426
H  0.3754  0.1039  0.4426
H  0.5789  0.7671  0.0739
H  0.9211  0.2329  0.5739
H  0.0789  0.7329  0.9261
H  0.4211  0.2671  0.4261
H  0.3347  0.4651  0.1449
H  0.1653  0.5349  0.6449
H  0.8347  0.0349  0.8551
H  0.6653  0.9651  0.3551
H  0.0890  0.5271  0.2258
H  0.4110  0.4729  0.7258
H  0.5890  0.9729  0.7742
H  0.9110  0.0271  0.2742
H  0.0805  0.7429  0.2659
H  0.4195  0.2571  0.7659
H  0.5805  0.7571  0.7341
H  0.9195  0.2429  0.2341
H  0.2507  0.8437  0.1814
H  0.2493  0.1563  0.6814
H  0.7507  0.6563  0.8186
H  0.7493  0.3437  0.3186
C  0.3318  0.6565  0.1595
C  0.1682  0.3435  0.6595
C  0.8318  0.8435  0.8405
C  0.6682  0.1565  0.3405
N  0.5282  0.6770  0.0921
N  0.9718  0.3230  0.5921
N  0.0282  0.8230  0.9079
N  0.4718  0.1770  0.4079
N  0.2573  0.5397  0.1842
N  0.2427  0.4603  0.6842
N  0.7573  0.9603  0.8158
N  0.7427  0.0397  0.3158
N  0.2144  0.7545  0.2067
N  0.2856  0.2455  0.7067
N  0.7144  0.7455  0.7933
N  0.7856  0.2545  0.2933
F  0.1518  0.0963  0.9523
F  0.3482  0.9037  0.4523
F  0.6518  0.4037  0.0477
F  0.8482  0.5963  0.5477
F  0.1397  0.2690  0.1063
F  0.3603  0.7310  0.6063
F  0.6397  0.2310  0.8937
F  0.8603  0.7690  0.3937
F  0.1706  0.0316  0.1772
F  0.3294  0.9684  0.6772
F  0.6706  0.4684  0.8228
F  0.8294  0.5316  0.3228
F  0.4841  0.9346  0.0361
F  0.0159  0.0654  0.5361
F  0.9841  0.5654  0.9639
F  0.5159  0.4346  0.4639

Record 5
The following is a PBE-GGA calculation of an optimized crystal structure of Eu3P4Pt4, from the Materials Project database.

Magnetic moment: 20.35 μB per cell
Energy: -7.893 eV per atom
SG: C2/m, No. 12

a b c (Å): 9.9295 9.9295 7.0558
angles (deg): 69.25 69.25 23.88
Positions (direct):
Eu  0.7505  0.7505  0.2523
Eu  0.2495  0.2495  0.7477
Eu  0.5000  0.5000  0.5000
P  0.3705  0.3705  0.9624
P  0.8725  0.8725  0.4612
P  0.1275  0.1275  0.5388
P  0.6295  0.6295  0.0376
Pt  0.3723  0.3723  0.2923
Pt  0.8730  0.8730  0.7956
Pt  0.1270  0.1270  0.2044
Pt  0.6277  0.6277  0.7077

Record 6
The following is a PBE-GGA calculation of an optimized crystal structure of Li4Mg, from the Materials Project database.

Energy: -1.859 eV per atom
SG: R-3m, No. 166

a b c (Å): 12.4998 12.4998 12.4998
angles (deg): 14.28 14.28 14.28
Positions (direct):
Li  0.5995  0.5995  0.5995
Li  0.2000  0.2000  0.2000
Li  0.8000  0.8000  0.8000
Li  0.4005  0.4005  0.4005
Mg  0.0000  0.0000  0.0000

Record 7
The following is a PBE-GGA calculation of an optimized crystal structure of MgCr4Cu2S8, from the Materials Project database.

Magnetic moment: 9.98 μB per cell
SG: Cm, No. 8
E above lowest polymorph: 0.184 eV per atom

a b c (Å): 7.8234 6.7793 7.8155
angles (deg): 64.30 51.39 64.29
Positions (direct):
Mg  0.3752  0.3743  0.3757
Cr  0.5631  0.4474  0.5628
Cr  0.4479  0.5625  0.9273
Cr  0.5631  0.9265  0.5627
Cr  0.9273  0.5624  0.4480
Cu  0.8746  0.8753  0.8751
Cu  0.1254  0.1244  0.1258
S  0.7478  0.7355  0.7481
S  0.3078  0.2215  0.7492
S  0.2224  0.7481  0.2229
S  0.7491  0.2218  0.3071
S  0.7481  0.2688  0.7480
S  0.2694  0.7476  0.7355
S  0.2225  0.3069  0.2224
S  0.7361  0.7474  0.2689

Record 8
The following is a PBE-GGA calculation of an optimized crystal structure of ZnRu2Br7N6, from the Materials Project database.

Magnetic moment: 14.01 μB per cell
Energy: -4.196 eV per atom
SG: P2_1/m, No. 11

a b c (Å): 7.7462 10.6820 10.3899
angles (deg): 90.00 90.00 94.40
Positions (direct):
Zn  0.2421  0.5258  0.7500
Zn  0.7579  0.4742  0.2500
Ru  0.7149  0.1731  0.7500
Ru  0.2851  0.8269  0.2500
Ru  0.8564  0.8463  0.7500
Ru  0.1436  0.1537  0.2500
Br  0.0336  0.1036  0.7500
Br  0.9664  0.8964  0.2500
Br  0.6385  0.5789  0.4381
Br  0.3615  0.4211  0.5619
Br  0.3615  0.4211  0.9381
Br  0.6385  0.5789  0.0619
Br  0.6760  0.9669  0.9208
Br  0.3240  0.0331  0.0792
Br  0.3240  0.0331  0.4208
Br  0.6760  0.9669  0.5792
Br  0.2779  0.7530  0.7500
Br  0.7221  0.2470  0.2500
Br  0.9282  0.4691  0.7500
Br  0.0718  0.5309  0.2500
N  0.0170  0.8287  0.8778
N  0.9830  0.1713  0.1222
N  0.9830  0.1713  0.3778
N  0.0170  0.8287  0.6222
N  0.7530  0.2769  0.8800
N  0.2470  0.7231  0.1200
N  0.2470  0.7231  0.3800
N  0.7530  0.2769  0.6200
N  0.7343  0.7063  0.7500
N  0.2657  0.2937  0.2500
N  0.4828  0.1348  0.7500
N  0.5172  0.8652  0.2500

Record 9
The following is a PBE-GGA calculation of an optimized crystal structure of Cu4Bi5S10, from the Materials Project database.

Energy: -4.339 eV per atom
SG: C2/m, No. 12

a b c (Å): 9.0065 9.0065 12.9126
angles (deg): 73.02 73.02 25.02
Positions (direct):
Cu  0.9038  0.9038  0.5130
Cu  0.0962  0.0962  0.4870
Cu  0.7133  0.7133  0.9452
Cu  0.2867  0.2867  0.0548
Bi  0.4116  0.4116  0.7752
Bi  0.5884  0.5884  0.2248
Bi  0.1983  0.1983  0.6623
Bi  0.8017  0.8017  0.3377
Bi  0.0000  0.0000  0.0000
S  0.9778  0.9778  0.6334
S  0.0222  0.0222  0.3666
S  0.8466  0.8466  0.9717
S  0.1534  0.1534  0.0283
S  0.3360  0.3360  0.5034
S  0.6640  0.6640  0.4966
S  0.7593  0.7593  0.7604
S  0.2407  0.2407  0.2396
S  0.5428  0.5428  0.8341
S  0.4572  0.4572  0.1659

Record 10
The following is a PBE-GGA calculation of an optimized crystal structure of GdSn6Ru4, from the Materials Project database.

Energy: -7.168 eV per atom
SG: I-42m, No. 121

a b c (Å): 6.9659 6.9659 6.9659
angles (deg): 120.37 120.37 89.35
Positions (direct):
Gd  0.0000  0.0000  0.0000
Sn  0.0000  0.5000  0.5000
Sn  0.4698  0.4698  0.3516
Sn  0.5302  0.8818  0.0000
Sn  0.8818  0.5302  0.0000
Sn  0.1182  0.1182  0.6484
Sn  0.5000  0.0000  0.5000
Ru  0.4038  0.4038  0.6530
Ru  0.7509  0.7509  0.3470
Ru  0.2491  0.5962  0.0000
Ru  0.5962  0.2491  0.0000

Record 11
The following is a PBE-GGA calculation of an optimized crystal structure of Te4WCl6, from the Materials Project database.

Magnetic moment: 3.91 μB per cell
Energy: -3.850 eV per atom
SG: C2/c, No. 15

a b c (Å): 12.3444 12.3444 12.2683
angles (deg): 76.76 76.76 120.59
Positions (direct):
Te  0.5508  0.3799  0.6431
Te  0.6419  0.2260  0.9227
Te  0.0617  0.3610  0.5021
Te  0.7740  0.3581  0.5773
Te  0.6644  0.8949  0.2252
Te  0.4492  0.6201  0.3569
Te  0.3799  0.5508  0.1431
Te  0.3610  0.0617  0.0021
Te  0.6201  0.4492  0.8569
Te  0.3356  0.1051  0.7748
Te  0.3581  0.7740  0.0773
Te  0.8949  0.6644  0.7252
Te  0.2260  0.6419  0.4227
Te  0.1051  0.3356  0.2748
Te  0.9383  0.6390  0.4979
Te  0.6390  0.9383  0.9979
W  0.3349  0.1039  0.3903
W  0.6651  0.8961  0.6097
W  0.1039  0.3349  0.8903
W  0.8961  0.6651  0.1097
Cl  0.2173  0.2859  0.0000
Cl  0.5619  0.7059  0.7947
Cl  0.7770  0.0921  0.4223
Cl  0.1887  0.5402  0.9108
Cl  0.2230  0.9079  0.5777
Cl  0.7059  0.5619  0.2947
Cl  0.7827  0.7141  0.0000
Cl  0.3878  0.9896  0.2803
Cl  0.9942  0.8746  0.1281
Cl  0.8746  0.9942  0.6281
Cl  0.9896  0.3878  0.7803
Cl  0.0104  0.6122  0.2197
Cl  0.4598  0.8113  0.5892
Cl  0.5402  0.1887  0.4108
Cl  0.9079  0.2230  0.0777
Cl  0.0058  0.1254  0.8719
Cl  0.1254  0.0058  0.3719
Cl  0.7141  0.7827  0.5000
Cl  0.0921  0.7770  0.9223
Cl  0.8113  0.4598  0.0892
Cl  0.2941  0.4381  0.7053
Cl  0.2859  0.2173  0.5000
Cl  0.6122  0.0104  0.7197
Cl  0.4381  0.2941  0.2053